Record 1
Computed, not measured: crystalline DyAg at its relaxed geometry at the PBE level of DFT.

Structure (POSCAR):
```
DyAg
1.0
3.6432 0.0000 0.0000
0.0000 3.6432 0.0000
0.0000 0.0000 3.6432
Dy Ag
1 1
Direct
0.0000 0.0000 0.0000
0.5000 0.5000 0.5000
```

* symmetry: Pm-3m, No. 221
* ΔH_f (0 K): -0.67 eV per formula unit

=====

Record 2
Computed, not measured: crystalline UAlFe at its relaxed geometry at the PBE level of DFT.

Structure (POSCAR):
```
UAlFe
1.0
8.5286 0.0000 0.0000
0.0000 2.6140 4.3450
0.0000 -2.6140 4.3450
U Al Fe
4 4 4
Direct
0.1779 0.0000 0.0000
0.2767 0.6927 0.6927
0.7233 0.6927 0.6927
0.8221 0.0000 0.0000
0.0000 0.4878 0.4878
0.5000 0.1835 0.1835
0.5000 0.1868 0.6799
0.5000 0.6799 0.1868
0.0000 0.4902 0.9959
0.0000 0.9959 0.4902
0.2533 0.3464 0.3464
0.7467 0.3464 0.3464
```

* symmetry: Amm2, No. 38
* ΔH_f (0 K): -0.39 eV per formula unit

=====

Record 3
Computed, not measured: crystalline SiO2 at its relaxed geometry at the PBE level of DFT.

Structure (POSCAR):
```
SiO2
1.0
4.4446 -5.6638 0.0000
4.4446 5.6638 0.0000
0.0000 0.0000 17.6048
Si O
16 32
Direct
0.0314 0.0314 0.5000
0.0551 0.7707 0.3611
0.0767 0.3290 0.3751
0.1199 0.3279 0.7089
0.2289 0.7711 0.7500
0.2293 0.9449 0.1389
0.3279 0.1199 0.2911
0.3290 0.0767 0.6249
0.6710 0.9233 0.1249
0.6721 0.8801 0.7911
0.7707 0.0551 0.6389
0.7711 0.2289 0.2500
0.8801 0.6721 0.2089
0.9233 0.6710 0.8751
0.9449 0.2293 0.8611
0.9686 0.9686 0.0000
0.0150 0.1414 0.9380
0.0403 0.2390 0.4604
0.0838 0.5565 0.3775
0.0874 0.7434 0.1664
0.0917 0.7919 0.8207
0.1054 0.2350 0.7946
0.1414 0.0150 0.0620
0.1684 0.5571 0.7166
0.2081 0.9083 0.6793
0.2350 0.1054 0.2054
0.2390 0.0403 0.5396
0.2566 0.9126 0.3336
0.2756 0.2928 0.3401
0.2928 0.2756 0.6599
0.4429 0.8316 0.7834
0.4435 0.9162 0.1225
0.5565 0.0838 0.6225
0.5571 0.1684 0.2834
0.7072 0.7244 0.1599
0.7244 0.7072 0.8401
0.7434 0.0874 0.8336
0.7610 0.9597 0.0396
0.7650 0.8946 0.7054
0.7919 0.0917 0.1793
0.8316 0.4429 0.2166
0.8586 0.9850 0.5620
0.8946 0.7650 0.2946
0.9083 0.2081 0.3207
0.9126 0.2566 0.6664
0.9162 0.4435 0.8775
0.9597 0.7610 0.9604
0.9850 0.8586 0.4380
```

* symmetry: C222_1, No. 20
* total energy after the MP2020 corrections: -400.40 eV/cell
* ΔH_f (0 K): -9.70 eV per formula unit

=====

Record 4
Computed, not measured: crystalline LiCuTeO4 at its relaxed geometry at the PBE level of DFT.

Structure (POSCAR):
```
LiCuTeO4
1.0
6.1846 0.0000 0.0000
0.0000 6.1846 0.0000
0.0000 0.0000 8.6365
Li Cu Te O
4 4 4 16
Direct
0.0000 0.2098 0.0000
0.0000 0.7902 0.5000
0.2098 0.0000 0.2500
0.7902 0.0000 0.7500
0.2461 0.2461 0.6250
0.2461 0.7539 0.8750
0.7539 0.2461 0.3750
0.7539 0.7539 0.1250
0.2267 0.5000 0.2500
0.5000 0.2267 0.0000
0.5000 0.7733 0.5000
0.7733 0.5000 0.7500
0.0249 0.2657 0.2507
0.0249 0.7343 0.2493
0.2657 0.0249 0.9993
0.2657 0.9751 0.5007
0.2685 0.4836 0.0163
0.2685 0.5164 0.4837
0.4836 0.2685 0.2337
0.4836 0.7315 0.2663
0.5164 0.2685 0.7663
0.5164 0.7315 0.7337
0.7315 0.4836 0.9837
0.7315 0.5164 0.5163
0.7343 0.0249 0.0007
0.7343 0.9751 0.4993
0.9751 0.2657 0.7493
0.9751 0.7343 0.7507
```

* symmetry: P4_322, No. 95
* total energy after the MP2020 corrections: -157.66 eV/cell
* ΔH_f (0 K): -10.47 eV per formula unit

=====

Record 5
Computed, not measured: crystalline AgPdAu2 at its relaxed geometry at the PBE level of DFT.

Structure (POSCAR):
```
AgPdAu2
1.0
0.0000 3.2709 3.2709
3.2709 0.0000 3.2709
3.2709 3.2709 0.0000
Ag Pd Au
1 1 2
Direct
0.0000 0.0000 0.0000
0.5000 0.5000 0.5000
0.2500 0.2500 0.2500
0.7500 0.7500 0.7500
```

* symmetry: Fm-3m, No. 225
* ΔH_f (0 K): -0.27 eV per formula unit

=====

Record 6
Computed, not measured: crystalline Cu2Pd3Se4 at its relaxed geometry at the PBE level of DFT.

Structure (POSCAR):
```
Cu2Pd3Se4
1.0
5.7218 0.0000 0.0000
0.0000 9.9932 0.0000
-2.7113 0.0000 5.6885
Cu Pd Se
4 6 8
Direct
0.1177 0.1929 0.4836
0.1177 0.3071 0.9836
0.8823 0.6929 0.0164
0.8823 0.8071 0.5164
0.2397 0.6284 0.4991
0.2397 0.8716 0.9991
0.5000 0.0000 0.5000
0.5000 0.5000 0.0000
0.7603 0.1284 0.0009
0.7603 0.3716 0.5009
0.0298 0.5552 0.7602
0.0298 0.9448 0.2602
0.4867 0.6871 0.2656
0.4867 0.8129 0.7656
0.5133 0.1871 0.2344
0.5133 0.3129 0.7344
0.9702 0.0552 0.7398
0.9702 0.4448 0.2398
```

* symmetry: P2_1/c, No. 14
* total energy after the MP2020 corrections: -83.51 eV/cell
* ΔH_f (0 K): -4.03 eV per formula unit

=====

Record 7
Computed, not measured: crystalline NaMg3Al6Si6B3O31 at its relaxed geometry at the PBE level of DFT.

Structure (POSCAR):
```
NaMg3Al6Si6B3O31
1.0
8.0700 4.6592 2.4296
-8.0700 4.6592 2.4296
0.0000 -9.3184 2.4296
Na Mg Al Si B O
1 3 6 6 3 31
Direct
0.0000 0.0000 0.0000
0.3219 0.3219 0.5126
0.3219 0.5126 0.3219
0.5126 0.3219 0.3219
0.1135 0.3385 0.6756
0.1135 0.6756 0.3385
0.3385 0.1135 0.6756
0.3385 0.6756 0.1135
0.6756 0.1135 0.3385
0.6756 0.3384 0.1135
0.5706 0.7596 0.9533
0.5706 0.9533 0.7596
0.7596 0.5706 0.9533
0.7596 0.9533 0.5706
0.9533 0.5706 0.7596
0.9533 0.7596 0.5706
0.3273 0.3273 0.9977
0.3273 0.9977 0.3273
0.9977 0.3273 0.3273
0.0276 0.7534 0.7534
0.1145 0.2984 0.2984
0.1300 0.5596 0.8456
0.1300 0.8456 0.5596
0.1672 0.1672 0.5736
0.1672 0.5736 0.1672
0.2682 0.4184 0.9381
0.2682 0.9381 0.4184
0.2984 0.1145 0.2984
0.2984 0.2984 0.1145
0.3480 0.5310 0.7373
0.3480 0.7373 0.5310
0.4184 0.2682 0.9381
0.4184 0.9381 0.2682
0.5253 0.5253 0.5253
0.5310 0.3480 0.7373
0.5310 0.7373 0.3480
0.5596 0.1300 0.8456
0.5596 0.8456 0.1300
0.5736 0.1672 0.1672
0.6419 0.9233 0.9233
0.7373 0.3480 0.5310
0.7373 0.5310 0.3480
0.7534 0.0276 0.7534
0.7534 0.7534 0.0276
0.8456 0.1300 0.5596
0.8456 0.5596 0.1300
0.9233 0.6419 0.9233
0.9233 0.9233 0.6419
0.9381 0.2682 0.4184
0.9381 0.4184 0.2682
```

* symmetry: R3m, No. 160
* total energy after the MP2020 corrections: -386.44 eV/cell
* ΔH_f (0 K): -151.86 eV per formula unit

=====

Record 8
Computed, not measured: crystalline Er2Cr2C3 at its relaxed geometry at the PBE level of DFT.

Structure (POSCAR):
```
Er2Cr2C3
1.0
5.2261 -1.6679 0.0000
5.2261 1.6679 0.0000
-1.5384 0.0000 5.2891
Er Cr C
2 2 3
Direct
0.1080 0.1080 0.3162
0.8920 0.8920 0.6838
0.3446 0.3446 0.1128
0.6554 0.6554 0.8872
0.2179 0.2179 0.7674
0.5000 0.5000 0.0000
0.7821 0.7821 0.2326
```

* symmetry: C2/m, No. 12
* ΔH_f (0 K): -2.29 eV per formula unit

=====

Record 9
Computed, not measured: crystalline Bi3B6O14 at its relaxed geometry at the PBE level of DFT.

Structure (POSCAR):
```
Bi3B6O14
1.0
6.6375 0.0000 0.0000
0.0705 6.6784 0.0000
0.1558 3.3301 5.8222
Bi B O
3 6 14
Direct
0.0000 0.0000 0.0000
0.2674 0.5911 0.5890
0.5893 0.4130 0.1142
0.1334 0.4361 0.1679
0.3276 0.1467 0.5523
0.4602 0.0150 0.9732
0.6547 0.9307 0.6861
0.8440 0.6443 0.6087
0.9936 0.0310 0.4678
0.0032 0.6294 0.1108
0.1921 0.9703 0.5681
0.2730 0.3821 0.3673
0.2774 0.4665 0.9804
0.3163 0.8905 0.1632
0.3218 0.1671 0.7662
0.5296 0.0940 0.5036
0.5752 0.8603 0.9143
0.6070 0.1466 0.0172
0.6647 0.6841 0.6940
0.8572 0.0234 0.6464
0.9379 0.8377 0.4226
0.9521 0.4475 0.6976
0.9937 0.2364 0.2391
```

* symmetry: P1, No. 1
* total energy after the MP2020 corrections: -175.55 eV/cell
* ΔH_f (0 K): -54.53 eV per formula unit

=====

Record 10
Computed, not measured: crystalline NaCa9Ti9NbSi10O50 at its relaxed geometry at the PBE level of DFT.

Structure (POSCAR):
```
NaCa9Ti9NbSi10O50
1.0
5.5108 0.0000 0.0000
2.2614 7.1810 0.0000
0.8379 3.3519 24.2220
Na Ca Ti Nb Si O
1 9 9 1 10 50
Direct
0.0000 0.0000 0.0000
0.0276 0.6239 0.4311
0.2084 0.7864 0.5991
0.2381 0.4095 0.0275
0.4066 0.5892 0.2006
0.4273 0.2239 0.6305
0.6088 0.3866 0.7985
0.6273 0.0246 0.2315
0.8087 0.1863 0.3995
0.8289 0.8215 0.8299
0.0114 0.3115 0.2170
0.1178 0.2072 0.5160
0.2171 0.1037 0.8142
0.3095 0.0138 0.1177
0.4132 0.9089 0.4160
0.5191 0.8059 0.7150
0.7168 0.6083 0.3171
0.8146 0.5076 0.6151
0.9224 0.3978 0.9143
0.6127 0.7136 0.0140
0.1169 0.5262 0.7280
0.1205 0.8833 0.3016
0.3155 0.3278 0.3296
0.3242 0.6779 0.8984
0.5163 0.1322 0.9264
0.5214 0.4825 0.5009
0.7162 0.9270 0.5287
0.7200 0.2828 0.1025
0.9138 0.7275 0.1302
0.9220 0.0818 0.7001
0.0116 0.2085 0.0789
0.0276 0.4113 0.3550
0.0616 0.5138 0.1607
0.0656 0.3271 0.5781
0.0950 0.8511 0.1464
0.1074 0.5281 0.6603
0.1293 0.8814 0.3692
0.1394 0.5597 0.8807
0.1727 0.0820 0.4511
0.1816 0.8947 0.8695
0.2102 0.9984 0.6747
0.2314 0.2164 0.9522
0.2631 0.3107 0.7571
0.2636 0.1267 0.1803
0.2988 0.6485 0.7452
0.3053 0.3298 0.2620
0.3397 0.3607 0.4832
0.3396 0.6681 0.9664
0.3682 0.8866 0.0514
0.3756 0.6980 0.4717
0.4091 0.7999 0.2764
0.4283 0.0105 0.5540
0.4622 0.1118 0.3585
0.4675 0.9275 0.7769
0.4973 0.4494 0.3472
0.5087 0.1291 0.8591
0.5298 0.4809 0.5685
0.5423 0.1578 0.0854
0.5674 0.4954 0.0715
0.5735 0.6817 0.6502
0.6130 0.5974 0.8734
0.6254 0.8105 0.1551
0.6555 0.9139 0.9550
0.6654 0.7280 0.3789
0.6943 0.2545 0.9441
0.7066 0.9290 0.4610
0.7248 0.2860 0.1700
0.7405 0.9603 0.6822
0.7703 0.4817 0.2524
0.7761 0.2975 0.6709
0.8096 0.3989 0.4756
0.8286 0.6102 0.7531
0.8630 0.7111 0.5576
0.8739 0.5249 0.9773
0.8984 0.0486 0.5460
0.9049 0.7197 0.0630
0.9313 0.0799 0.7677
0.9398 0.7608 0.2838
0.9738 0.0986 0.2725
0.9748 0.2786 0.8500
```

* symmetry: P1, No. 1
* total energy after the MP2020 corrections: -676.41 eV/cell
* ΔH_f (0 K): -274.23 eV per formula unit

=====

Record 11
Computed, not measured: crystalline CaY3P3O12 at its relaxed geometry at the PBE level of DFT.

Structure (POSCAR):
```
CaY3P3O12
1.0
3.6291 -5.9111 0.0000
3.6291 5.9111 0.0000
0.0000 0.0000 6.3327
Ca Y P O
1 3 3 12
Direct
0.0000 0.0000 0.0000
0.0000 0.5000 0.8170
0.5000 0.0000 0.1830
0.5000 0.5000 0.5000
0.0000 0.5000 0.3190
0.5000 0.0000 0.6810
0.5000 0.5000 0.0000
0.1232 0.6960 0.1701
0.1516 0.4569 0.4711
0.3040 0.8768 0.8299
0.3066 0.4439 0.8485
0.4439 0.3066 0.1515
0.4569 0.1516 0.5289
0.5431 0.8484 0.5289
0.5561 0.6934 0.1515
0.6934 0.5561 0.8485
0.6960 0.1232 0.8299
0.8484 0.5431 0.4711
0.8768 0.3040 0.1701
```

* symmetry: C222, No. 21
* total energy after the MP2020 corrections: -156.93 eV/cell
* ΔH_f (0 K): -59.91 eV per formula unit

=====

Record 12
Computed, not measured: crystalline Na2B4O7 at its relaxed geometry at the PBE level of DFT.

Structure (POSCAR):
```
Na2B4O7
1.0
6.6212 0.0000 0.0000
-0.1303 8.7659 0.0000
-0.8169 -0.6225 10.5949
Na B O
8 16 28
Direct
0.0218 0.0420 0.2714
0.0622 0.5812 0.6437
0.3270 0.1588 0.4807
0.3902 0.3589 0.8884
0.6098 0.6411 0.1116
0.6730 0.8412 0.5193
0.9378 0.4188 0.3563
0.9782 0.9580 0.7286
0.1066 0.3128 0.0771
0.1541 0.7528 0.0902
0.1665 0.7771 0.4716
0.2529 0.7396 0.8691
0.3382 0.5595 0.3609
0.3771 0.8196 0.2982
0.4270 0.3242 0.2270
0.4504 0.9434 0.7770
0.5496 0.0566 0.2230
0.5730 0.6758 0.7730
0.6229 0.1804 0.7018
0.6618 0.4405 0.6391
0.7471 0.2604 0.1309
0.8335 0.2229 0.5284
0.8459 0.2472 0.9098
0.8934 0.6872 0.9229
0.0219 0.8166 0.5447
0.0319 0.7052 0.8361
0.0498 0.2853 0.9478
0.1893 0.8148 0.2107
0.1904 0.6143 0.4395
0.2857 0.9003 0.8381
0.3008 0.7286 0.0082
0.3027 0.3560 0.1080
0.3089 0.8752 0.4232
0.3478 0.4055 0.3399
0.3645 0.6336 0.7918
0.4009 0.1583 0.2534
0.4554 0.0916 0.7406
0.4571 0.6620 0.3062
0.5429 0.3380 0.6938
0.5446 0.9084 0.2594
0.5991 0.8417 0.7466
0.6355 0.3664 0.2082
0.6522 0.5945 0.6601
0.6911 0.1248 0.5768
0.6973 0.6440 0.8920
0.6992 0.2714 0.9918
0.7143 0.0997 0.1619
0.8096 0.3857 0.5605
0.8107 0.1852 0.7893
0.9502 0.7147 0.0522
0.9681 0.2948 0.1639
0.9781 0.1834 0.4553
```

* symmetry: P-1, No. 2
* total energy after the MP2020 corrections: -398.67 eV/cell
* ΔH_f (0 K): -35.67 eV per formula unit
* energy relative to the lowest polymorph listed for this composition: 0 meV per atom